{"formula": "Ag3Sn", "functional": "PBE", "state": "relaxed", "e_form_ev_per_atom": 0.0815, "space_group": "P-6m2", "lattice": [[-2.4658, 0.7326, 1.7495], [0.2733, -2.8650, -1.1810], [4.7892, -2.8107, 7.9271]], "species": ["Ag", "Ag", "Ag", "Sn"], "frac_coords": [[0.0000, 0.0000, 0.7388], [0.3333, 0.6667, 0.5000], [0.0000, 0.0000, 0.2612], [0.3333, 0.6667, 0.0000]]}